The following is a DFT calculation (PBE) of an optimized crystal structure of Na3Pr14Ru6O36.

Geometry as POSCAR:
```
Na3Pr14Ru6O36
1.0
19.0174 -4.9238 0.0000
19.0174 4.9238 0.0000
17.7425 0.0000 8.4324
O Pr Na Ru
72 28 6 12
Direct
0.5236 0.3505 0.6879
0.2815 0.4675 0.0798
0.6648 0.9855 0.9266
0.4266 0.4855 0.1648
0.4675 0.0798 0.2815
0.0734 0.3352 0.0145
0.9855 0.9266 0.6648
0.4813 0.7469 0.8100
0.9459 0.9843 0.3156
0.6900 0.7531 0.0187
0.5541 0.1844 0.5157
0.7322 0.7970 0.2978
0.2185 0.4202 0.0325
0.9843 0.3156 0.9459
0.5145 0.8352 0.5734
0.3156 0.9459 0.9843
0.7678 0.2022 0.7030
0.2531 0.1900 0.5187
0.9266 0.6648 0.9855
0.8352 0.5734 0.5145
0.8100 0.4813 0.7469
0.8505 0.0236 0.1879
0.7531 0.0187 0.6900
0.4843 0.4459 0.8156
0.7185 0.5325 0.9202
0.2030 0.7022 0.2678
0.4202 0.0325 0.2185
0.2322 0.7978 0.2970
0.2469 0.9813 0.3100
0.7030 0.7678 0.2022
0.8156 0.4843 0.4459
0.8121 0.1495 0.9764
0.6879 0.5236 0.3505
0.6495 0.3121 0.4764
0.5157 0.5541 0.1844
0.5798 0.9675 0.7815
0.4855 0.1648 0.4266
0.4459 0.8156 0.4843
0.5325 0.9202 0.7185
0.7815 0.5798 0.9675
0.0236 0.1879 0.8505
0.2978 0.7322 0.7970
0.2970 0.2322 0.7978
0.9813 0.3100 0.2469
0.0798 0.2815 0.4675
0.3505 0.6879 0.5236
0.9675 0.7815 0.5798
0.1495 0.9764 0.8121
0.0541 0.0157 0.6844
0.5187 0.2531 0.1900
0.1900 0.5187 0.2531
0.2022 0.7030 0.7678
0.9202 0.7185 0.5325
0.0187 0.6900 0.7531
0.4764 0.6495 0.3121
0.0325 0.2185 0.4202
0.6844 0.0541 0.0157
0.1648 0.4266 0.4855
0.3352 0.0145 0.0734
0.2678 0.2030 0.7022
0.7978 0.2970 0.2322
0.7970 0.2978 0.7322
0.9764 0.8121 0.1495
0.5734 0.5145 0.8352
0.3121 0.4764 0.6495
0.0157 0.6844 0.0541
0.3100 0.2469 0.9813
0.7022 0.2678 0.2030
0.1879 0.8505 0.0236
0.1844 0.5157 0.5541
0.7469 0.8100 0.4813
0.0145 0.0734 0.3352
0.5007 0.2202 0.9295
0.8195 0.1972 0.5410
0.7202 0.0007 0.4295
0.9993 0.5705 0.2798
0.8923 0.8923 0.8923
0.2202 0.9295 0.5007
0.5705 0.2798 0.9993
0.9295 0.5007 0.2202
0.3195 0.0410 0.6972
0.9590 0.3028 0.6805
0.6972 0.3195 0.0410
0.4993 0.7798 0.0705
0.0705 0.4993 0.7798
0.8028 0.4590 0.1805
0.5410 0.8195 0.1972
0.0410 0.6972 0.3195
0.4295 0.7202 0.0007
0.0007 0.4295 0.7202
0.3923 0.3923 0.3923
0.6077 0.6077 0.6077
0.3028 0.6805 0.9590
0.7798 0.0705 0.4993
0.2798 0.9993 0.5705
0.1805 0.8028 0.4590
0.1077 0.1077 0.1077
0.4590 0.1805 0.8028
0.6805 0.9590 0.3028
0.1972 0.5410 0.8195
0.7500 0.7500 0.7500
0.2500 0.2500 0.2500
0.0530 0.0530 0.0530
0.9470 0.9470 0.9470
0.5530 0.5530 0.5530
0.4470 0.4470 0.4470
0.9172 0.2500 0.5828
0.3377 0.3377 0.3377
0.7500 0.4172 0.0828
0.8377 0.8377 0.8377
0.5828 0.9172 0.2500
0.5000 0.5000 0.5000
0.0000 0.0000 0.0000
0.2500 0.5828 0.9172
0.6623 0.6623 0.6623
0.4172 0.0828 0.7500
0.0828 0.7500 0.4172
0.1623 0.1623 0.1623
```

## Properties
For the mass density, the calculation gives 6.78 g/cm3. As for the space group: R-3c. As for the formation energy: -16329 kJ/mol of formula units. For the size of the total moment, the calculation gives 30.10 Bohr magnetons per cell.